A relaxed Na2MnO2 crystal, computed with PBE with a Hubbard U.

The calculation puts the formation energy at -1.67 eV/atom. The corrected total energy (MP2020 scheme) comes out at -6.0099 eV per atom. Its size of the total moment is 0.00 Bohr magnetons per cell. The calculation puts the raw total energy at -5.40 eV/atom.

Cell: 5.8308 5.5994 8.9189 Å, 90.00 89.99 90.01°
Closest atoms and distances in Å follow each position.
Element x y z (fractional)
1 Na 0.3955 0.5000 0.1531  3 O 2.30-2.49
2 Na 0.8955 0.0000 0.6531  3 O 2.30-2.49
3 Na 0.6045 0.0000 0.1531  3 O 2.30-2.49
4 Na 0.1045 0.5000 0.6531  3 O 2.30-2.49
5 Na 0.8955 0.5000 0.3469  3 O 2.30-2.49
6 Na 0.3956 0.0000 0.8469  3 O 2.30-2.49
7 Na 0.1045 0.0000 0.3470  3 O 2.30-2.49
8 Na 0.6045 0.5000 0.8470  3 O 2.30-2.49
9 Mn 0.5000 0.7500 0.5000  4 O 2.09
10 Mn 0.0000 0.7502 0.0000  4 O 2.09
11 Mn 0.9997 0.2497 0.9999  4 O 2.09
12 Mn 0.5000 0.2500 0.5000  4 O 2.09
13 O 0.2177 0.0000 0.1004  2 Mn 2.09, 2 Na 2.30
14 O 0.7177 0.4999 0.6003  2 Mn 2.09, 2 Na 2.30
15 O 0.7176 0.0000 0.3997  2 Mn 2.09, 2 Na 2.30
16 O 0.2176 0.5000 0.8997  2 Mn 2.09, 2 Na 2.30
17 O 0.7824 0.5000 0.1003  2 Mn 2.09, 2 Na 2.30
18 O 0.2824 0.0000 0.6003  2 Mn 2.09, 2 Na 2.30
19 O 0.2823 0.5000 0.3997  2 Mn 2.09, 2 Na 2.30
20 O 0.7824 0.0000 0.8997  2 Mn 2.09, 2 Na 2.30